(1)
# GGA-PBE Fe4C, optimized geometry
# Relative energy among the computed polymorphs, meV/atom: 0
# Magnetization, μB/f.u.: 7.47
data_Fe4C
_chemical_formula_sum 'Fe8 C2'
_symmetry_space_group_name_H-M 'P 1'
_symmetry_Int_Tables_number 1
_cell_length_a 6.0083
_cell_length_b 2.6528
_cell_length_c 6.3475
_cell_angle_alpha 90.00
_cell_angle_beta 101.19
_cell_angle_gamma 90.00
loop_
_symmetry_equiv_pos_as_xyz
'x,y,z'
loop_
_atom_site_label
_atom_site_fract_x
_atom_site_fract_y
_atom_site_fract_z
Fe1 0.0224 0.2500 0.1828
Fe2 0.1839 0.2500 0.5643
Fe3 0.3270 0.2500 0.9652
Fe4 0.3955 0.7500 0.3201
Fe5 0.6045 0.2500 0.6799
Fe6 0.6730 0.7500 0.0348
Fe7 0.8161 0.7500 0.4357
Fe8 0.9776 0.7500 0.8172
C1 0.3769 0.7500 0.7466
C2 0.6231 0.2500 0.2534



(2)
# GGA-PBE PaBeO3, optimized geometry
# Magnetization, μB/f.u.: 1.00
# Total energy after the MP2020 corrections, eV per formula unit: -44.14
data_PaBeO3
_chemical_formula_sum 'Pa1 Be1 O3'
_symmetry_space_group_name_H-M 'P 1'
_symmetry_Int_Tables_number 1
_cell_length_a 3.6077
_cell_length_b 3.6077
_cell_length_c 3.6077
_cell_angle_alpha 90.00
_cell_angle_beta 90.00
_cell_angle_gamma 90.00
loop_
_symmetry_equiv_pos_as_xyz
'x,y,z'
loop_
_atom_site_label
_atom_site_fract_x
_atom_site_fract_y
_atom_site_fract_z
Pa1 0.0000 0.0000 0.0000
Be1 0.5000 0.5000 0.5000
O1 0.0000 0.5000 0.5000
O2 0.5000 0.0000 0.5000
O3 0.5000 0.5000 0.0000



(3)
# GGA-PBE Lu2TlHg, optimized geometry
# Energy, eV per atom: -3.284
data_Lu2TlHg
_chemical_formula_sum 'Lu8 Tl4 Hg4'
_symmetry_space_group_name_H-M 'P 1'
_symmetry_Int_Tables_number 1
_cell_length_a 7.3940
_cell_length_b 7.3940
_cell_length_c 7.3940
_cell_angle_alpha 90.00
_cell_angle_beta 90.00
_cell_angle_gamma 90.00
loop_
_symmetry_equiv_pos_as_xyz
'x,y,z'
loop_
_atom_site_label
_atom_site_fract_x
_atom_site_fract_y
_atom_site_fract_z
Lu1 0.2500 0.2500 0.2500
Lu2 0.2500 0.2500 0.7500
Lu3 0.2500 0.7500 0.2500
Lu4 0.2500 0.7500 0.7500
Lu5 0.7500 0.2500 0.2500
Lu6 0.7500 0.2500 0.7500
Lu7 0.7500 0.7500 0.2500
Lu8 0.7500 0.7500 0.7500
Tl1 0.0000 0.0000 0.0000
Tl2 0.0000 0.5000 0.5000
Tl3 0.5000 0.0000 0.5000
Tl4 0.5000 0.5000 0.0000
Hg1 0.0000 0.0000 0.5000
Hg2 0.0000 0.5000 0.0000
Hg3 0.5000 0.0000 0.0000
Hg4 0.5000 0.5000 0.5000



(4)
# GGA-PBE Na3BeAlSi2O8, optimized geometry
# Magnetization, μB/f.u.: 0.00
# Total energy after the MP2020 corrections, eV per formula unit: -106.59
data_Na3BeAlSi2O8
_chemical_formula_sum 'Na6 Be2 Al2 Si4 O16'
_symmetry_space_group_name_H-M 'P 1'
_symmetry_Int_Tables_number 1
_cell_length_a 6.9318
_cell_length_b 7.2600
_cell_length_c 7.3741
_cell_angle_alpha 90.00
_cell_angle_beta 90.00
_cell_angle_gamma 90.00
loop_
_symmetry_equiv_pos_as_xyz
'x,y,z'
loop_
_atom_site_label
_atom_site_fract_x
_atom_site_fract_y
_atom_site_fract_z
Na1 0.0000 0.0000 0.0334
Na2 0.2470 0.2134 0.6760
Na3 0.2530 0.7134 0.3240
Na4 0.5000 0.5000 0.9666
Na5 0.7470 0.2866 0.3240
Na6 0.7530 0.7866 0.6760
Be1 0.0000 0.0000 0.4334
Be2 0.5000 0.5000 0.5666
Al1 0.0000 0.5000 0.9668
Al2 0.5000 0.0000 0.0332
Si1 0.2355 0.8006 0.7404
Si2 0.2645 0.3006 0.2596
Si3 0.7355 0.6994 0.2596
Si4 0.7645 0.1994 0.7404
O1 0.0447 0.6964 0.8312
O2 0.0841 0.1617 0.2943
O3 0.1715 0.9116 0.5585
O4 0.2028 0.4588 0.1058
O5 0.2972 0.9588 0.8942
O6 0.3285 0.4116 0.4415
O7 0.4159 0.6617 0.7057
O8 0.4553 0.1964 0.1688
O9 0.5447 0.8036 0.1688
O10 0.5841 0.3383 0.7057
O11 0.6715 0.5884 0.4415
O12 0.7028 0.0412 0.8942
O13 0.7972 0.5412 0.1058
O14 0.8285 0.0884 0.5585
O15 0.9159 0.8383 0.2943
O16 0.9553 0.3036 0.8312



(5)
# GGA-PBE Cs2LiGdCl6, optimized geometry
# Magnetization, μB/f.u.: 7.00
# Total energy after the MP2020 corrections, eV per formula unit: -53.72
data_Cs2LiGdCl6
_chemical_formula_sum 'Cs2 Li1 Gd1 Cl6'
_symmetry_space_group_name_H-M 'P 1'
_symmetry_Int_Tables_number 1
_cell_length_a 7.5458
_cell_length_b 7.5458
_cell_length_c 7.5458
_cell_angle_alpha 60.00
_cell_angle_beta 60.00
_cell_angle_gamma 60.00
loop_
_symmetry_equiv_pos_as_xyz
'x,y,z'
loop_
_atom_site_label
_atom_site_fract_x
_atom_site_fract_y
_atom_site_fract_z
Cs1 0.2500 0.2500 0.2500
Cs2 0.7500 0.7500 0.7500
Li1 0.0000 0.0000 0.0000
Gd1 0.5000 0.5000 0.5000
Cl1 0.2489 0.2489 0.7511
Cl2 0.2489 0.7511 0.2489
Cl3 0.2489 0.7511 0.7511
Cl4 0.7511 0.2489 0.2489
Cl5 0.7511 0.2489 0.7511
Cl6 0.7511 0.7511 0.2489



(6)
# GGA-PBE LiTaNbAg2O6, optimized geometry
# Relative energy among the computed polymorphs, meV/atom: 28
# Magnetization, μB/f.u.: 0.00
# Total energy after the MP2020 corrections, eV per formula unit: -82.36
data_LiTaNbAg2O6
_chemical_formula_sum 'Li1 Ta1 Nb1 Ag2 O6'
_symmetry_space_group_name_H-M 'P 1'
_symmetry_Int_Tables_number 1
_cell_length_a 4.0998
_cell_length_b 4.0998
_cell_length_c 8.1202
_cell_angle_alpha 94.33
_cell_angle_beta 94.33
_cell_angle_gamma 87.98
loop_
_symmetry_equiv_pos_as_xyz
'x,y,z'
loop_
_atom_site_label
_atom_site_fract_x
_atom_site_fract_y
_atom_site_fract_z
Li1 0.0000 0.0000 0.0000
Ta1 0.6261 0.6261 0.1423
Nb1 0.7259 0.7259 0.6340
Ag1 0.1835 0.1835 0.3996
Ag2 0.2735 0.2735 0.8086
O1 0.1555 0.6550 0.1370
O2 0.2229 0.7374 0.6260
O3 0.6550 0.1555 0.1370
O4 0.6873 0.6873 0.8924
O5 0.6907 0.6907 0.3796
O6 0.7374 0.2229 0.6260



(7)
# GGA-PBE Na3NbF6, optimized geometry
# Magnetization, μB/f.u.: 1.99
# Total energy after the MP2020 corrections, eV per formula unit: -53.90
data_Na3NbF6
_chemical_formula_sum 'Na3 Nb1 F6'
_symmetry_space_group_name_H-M 'P 1'
_symmetry_Int_Tables_number 1
_cell_length_a 6.0633
_cell_length_b 6.0633
_cell_length_c 6.0633
_cell_angle_alpha 60.00
_cell_angle_beta 60.00
_cell_angle_gamma 60.00
loop_
_symmetry_equiv_pos_as_xyz
'x,y,z'
loop_
_atom_site_label
_atom_site_fract_x
_atom_site_fract_y
_atom_site_fract_z
Na1 0.0000 0.0000 0.0000
Na2 0.2500 0.2500 0.2500
Na3 0.7500 0.7500 0.7500
Nb1 0.5000 0.5000 0.5000
F1 0.2562 0.2562 0.7438
F2 0.2562 0.7438 0.2562
F3 0.2562 0.7438 0.7438
F4 0.7438 0.2562 0.2562
F5 0.7438 0.2562 0.7438
F6 0.7438 0.7438 0.2562



(8)
# GGA-PBE K2NaPrF6, optimized geometry
# Magnetization, μB/f.u.: 0.00
# Total energy after the MP2020 corrections, eV per formula unit: -54.53
data_K2NaPrF6
_chemical_formula_sum 'K2 Na1 Pr1 F6'
_symmetry_space_group_name_H-M 'P 1'
_symmetry_Int_Tables_number 1
_cell_length_a 6.4565
_cell_length_b 6.4565
_cell_length_c 6.4565
_cell_angle_alpha 60.00
_cell_angle_beta 60.00
_cell_angle_gamma 60.00
loop_
_symmetry_equiv_pos_as_xyz
'x,y,z'
loop_
_atom_site_label
_atom_site_fract_x
_atom_site_fract_y
_atom_site_fract_z
K1 0.2500 0.2500 0.2500
K2 0.7500 0.7500 0.7500
Na1 0.0000 0.0000 0.0000
Pr1 0.5000 0.5000 0.5000
F1 0.2493 0.2493 0.7507
F2 0.2493 0.7507 0.2493
F3 0.2493 0.7507 0.7507
F4 0.7507 0.2493 0.2493
F5 0.7507 0.2493 0.7507
F6 0.7507 0.7507 0.2493



(9)
# GGA-PBE ErP3O6, optimized geometry
# Magnetization, μB/f.u.: 0.00
# Total energy after the MP2020 corrections, eV per formula unit: -75.81
data_ErP3O6
_chemical_formula_sum 'Er2 P6 O12'
_symmetry_space_group_name_H-M 'P 1'
_symmetry_Int_Tables_number 1
_cell_length_a 7.8029
_cell_length_b 7.8029
_cell_length_c 11.9802
_cell_angle_alpha 115.33
_cell_angle_beta 115.33
_cell_angle_gamma 43.05
loop_
_symmetry_equiv_pos_as_xyz
'x,y,z'
loop_
_atom_site_label
_atom_site_fract_x
_atom_site_fract_y
_atom_site_fract_z
Er1 0.0000 0.0000 0.0000
Er2 0.0000 0.0000 0.5000
P1 0.1655 0.1655 0.8438
P2 0.3226 0.3226 0.4262
P3 0.4021 0.4021 0.7773
P4 0.5979 0.5979 0.2227
P5 0.6774 0.6774 0.5738
P6 0.8345 0.8345 0.1562
O1 0.0755 0.0755 0.7112
O2 0.1296 0.1296 0.9454
O3 0.1651 0.6071 0.4810
O4 0.2002 0.6449 0.8552
O5 0.3551 0.7998 0.1448
O6 0.3929 0.8349 0.5190
O7 0.6071 0.1651 0.4810
O8 0.6449 0.2002 0.8552
O9 0.7998 0.3551 0.1448
O10 0.8349 0.3929 0.5190
O11 0.8704 0.8704 0.0546
O12 0.9245 0.9245 0.2888



(10)
# GGA-PBE K2Na2Sb2H6O3F10, optimized geometry
# Magnetization, μB/f.u.: 0.01
# Total energy after the MP2020 corrections, eV per formula unit: -124.97
data_K2Na2Sb2H6O3F10
_chemical_formula_sum 'K4 Na4 Sb4 H12 O6 F20'
_symmetry_space_group_name_H-M 'P 1'
_symmetry_Int_Tables_number 1
_cell_length_a 6.1538
_cell_length_b 17.9025
_cell_length_c 6.1554
_cell_angle_alpha 90.00
_cell_angle_beta 90.61
_cell_angle_gamma 90.00
loop_
_symmetry_equiv_pos_as_xyz
'x,y,z'
loop_
_atom_site_label
_atom_site_fract_x
_atom_site_fract_y
_atom_site_fract_z
K1 0.2428 0.0002 0.2403
K2 0.2428 0.4998 0.2403
K3 0.7572 0.9998 0.7597
K4 0.7572 0.5002 0.7597
Na1 0.2530 0.1151 0.7408
Na2 0.2530 0.3849 0.7408
Na3 0.7470 0.6151 0.2592
Na4 0.7470 0.8849 0.2592
Sb1 0.2567 0.6304 0.7423
Sb2 0.2567 0.8696 0.7423
Sb3 0.7433 0.1304 0.2577
Sb4 0.7433 0.3696 0.2577
H1 0.1738 0.7065 0.2102
H2 0.1738 0.7935 0.2102
H3 0.2259 0.2066 0.1440
H4 0.2259 0.2934 0.1440
H5 0.2851 0.2500 0.5420
H6 0.4548 0.2500 0.7354
H7 0.5452 0.7500 0.2646
H8 0.7149 0.7500 0.4580
H9 0.7741 0.7066 0.8560
H10 0.7741 0.7934 0.8560
H11 0.8262 0.2065 0.7899
H12 0.8262 0.2935 0.7899
O1 0.2613 0.7500 0.2500
O2 0.2681 0.2500 0.2320
O3 0.2956 0.2500 0.7021
O4 0.7044 0.7500 0.2979
O5 0.7319 0.7500 0.7680
O6 0.7387 0.2500 0.7500
F1 0.0129 0.6257 0.9939
F2 0.0129 0.8743 0.9939
F3 0.0168 0.6029 0.5091
F4 0.0168 0.8971 0.5091
F5 0.2224 0.5186 0.7819
F6 0.2224 0.9814 0.7819
F7 0.4835 0.5926 0.5154
F8 0.4835 0.9074 0.5154
F9 0.4930 0.6063 0.9838
F10 0.4930 0.8937 0.9838
F11 0.5070 0.1063 0.0162
F12 0.5070 0.3937 0.0162
F13 0.5165 0.0926 0.4846
F14 0.5165 0.4074 0.4846
F15 0.7776 0.0186 0.2181
F16 0.7776 0.4814 0.2181
F17 0.9832 0.1029 0.4909
F18 0.9832 0.3971 0.4909
F19 0.9871 0.1257 0.0061
F20 0.9871 0.3743 0.0061



(11)
# GGA-PBE Nd15Si7Ni2, optimized geometry
# Magnetization, μB/f.u.: 1.87
# Energy, eV per atom: -5.528
data_Nd15Si7Ni2
_chemical_formula_sum 'Nd30 Si14 Ni4'
_symmetry_space_group_name_H-M 'P 1'
_symmetry_Int_Tables_number 1
_cell_length_a 21.6196
_cell_length_b 7.7730
_cell_length_c 21.5962
_cell_angle_alpha 79.81
_cell_angle_beta 20.72
_cell_angle_gamma 79.47
loop_
_symmetry_equiv_pos_as_xyz
'x,y,z'
loop_
_atom_site_label
_atom_site_fract_x
_atom_site_fract_y
_atom_site_fract_z
Nd1 0.0154 0.8285 0.6518
Nd2 0.0492 0.9508 0.0492
Nd3 0.0682 0.6375 0.3625
Nd4 0.1190 0.2290 0.1151
Nd5 0.1317 0.2162 0.4377
Nd6 0.1738 0.6757 0.8262
Nd7 0.2162 0.1317 0.2144
Nd8 0.2290 0.1190 0.5369
Nd9 0.2860 0.7177 0.2823
Nd10 0.3011 0.3985 0.6015
Nd11 0.3482 0.4956 0.9846
Nd12 0.3865 0.6209 0.3791
Nd13 0.3985 0.3011 0.6989
Nd14 0.4611 0.8874 0.4463
Nd15 0.4631 0.8849 0.7710
Nd16 0.4956 0.3482 0.1715
Nd17 0.5537 0.7948 0.5389
Nd18 0.5623 0.7856 0.8683
Nd19 0.6209 0.3865 0.6135
Nd20 0.6375 0.0682 0.9318
Nd21 0.6757 0.1738 0.3243
Nd22 0.7177 0.2860 0.7140
Nd23 0.7323 0.9666 0.0334
Nd24 0.7856 0.5623 0.7838
Nd25 0.7948 0.5537 0.1126
Nd26 0.8285 0.0154 0.5044
Nd27 0.8849 0.4631 0.8810
Nd28 0.8874 0.4611 0.2052
Nd29 0.9508 0.0492 0.9508
Nd30 0.9666 0.7323 0.2677
Si1 0.0599 0.2889 0.9401
Si2 0.0934 0.7584 0.7407
Si3 0.2255 0.8926 0.1074
Si4 0.2593 0.5925 0.9066
Si5 0.2889 0.0599 0.7111
Si6 0.3958 0.9593 0.2704
Si7 0.4267 0.4267 0.0733
Si8 0.5925 0.2593 0.2416
Si9 0.6255 0.7296 0.0407
Si10 0.7296 0.6255 0.6042
Si11 0.7584 0.0934 0.4075
Si12 0.8926 0.2255 0.7745
Si13 0.9267 0.9267 0.5733
Si14 0.9593 0.3958 0.3745
Ni1 0.1167 0.4503 0.5497
Ni2 0.4503 0.1167 0.8833
Ni3 0.5543 0.5543 0.4457
Ni4 0.7955 0.7955 0.2045



(12)
# GGA-PBE SrTcN3, optimized geometry
# Total energy after the MP2020 corrections, eV per formula unit: -39.92
data_SrTcN3
_chemical_formula_sum 'Sr4 Tc4 N12'
_symmetry_space_group_name_H-M 'P 1'
_symmetry_Int_Tables_number 1
_cell_length_a 7.6003
_cell_length_b 7.6003
_cell_length_c 6.1805
_cell_angle_alpha 101.49
_cell_angle_beta 101.49
_cell_angle_gamma 87.78
loop_
_symmetry_equiv_pos_as_xyz
'x,y,z'
loop_
_atom_site_label
_atom_site_fract_x
_atom_site_fract_y
_atom_site_fract_z
Sr1 0.0923 0.9077 0.7500
Sr2 0.3264 0.6736 0.2500
Sr3 0.6736 0.3264 0.7500
Sr4 0.9077 0.0923 0.2500
Tc1 0.2018 0.3756 0.7459
Tc2 0.3756 0.2018 0.2459
Tc3 0.6244 0.7982 0.7541
Tc4 0.7982 0.6244 0.2541
N1 0.0120 0.2331 0.6663
N2 0.1344 0.5943 0.8337
N3 0.2331 0.0120 0.1663
N4 0.3242 0.3669 0.5000
N5 0.3669 0.3242 0.0000
N6 0.4057 0.8656 0.6663
N7 0.5943 0.1344 0.3337
N8 0.6331 0.6758 0.0000
N9 0.6758 0.6331 0.5000
N10 0.7669 0.9880 0.8337
N11 0.8656 0.4057 0.1663
N12 0.9880 0.7669 0.3337



(13)
# GGA-PBE NpGa2, optimized geometry
# Magnetization, μB/f.u.: 3.83
# Energy, eV per atom: -6.489
data_NpGa2
_chemical_formula_sum 'Np1 Ga2'
_symmetry_space_group_name_H-M 'P 1'
_symmetry_Int_Tables_number 1
_cell_length_a 4.7787
_cell_length_b 4.7787
_cell_length_c 2.8836
_cell_angle_alpha 90.00
_cell_angle_beta 90.00
_cell_angle_gamma 120.00
loop_
_symmetry_equiv_pos_as_xyz
'x,y,z'
loop_
_atom_site_label
_atom_site_fract_x
_atom_site_fract_y
_atom_site_fract_z
Np1 0.0000 0.0000 0.0000
Ga1 0.3333 0.6667 0.5000
Ga2 0.6667 0.3333 0.5000



(14)
# GGA-PBE Rb2EuF5, optimized geometry
# Magnetization, μB/f.u.: 6.00
# Total energy after the MP2020 corrections, eV per formula unit: -49.19
data_Rb2EuF5
_chemical_formula_sum 'Rb8 Eu4 F20'
_symmetry_space_group_name_H-M 'P 1'
_symmetry_Int_Tables_number 1
_cell_length_a 11.7183
_cell_length_b 7.0200
_cell_length_c 7.7578
_cell_angle_alpha 90.00
_cell_angle_beta 90.00
_cell_angle_gamma 90.00
loop_
_symmetry_equiv_pos_as_xyz
'x,y,z'
loop_
_atom_site_label
_atom_site_fract_x
_atom_site_fract_y
_atom_site_fract_z
Rb1 0.1691 0.0366 0.0000
Rb2 0.1703 0.0264 0.4944
Rb3 0.3297 0.5264 0.9944
Rb4 0.3309 0.5366 0.5000
Rb5 0.6691 0.4634 0.0000
Rb6 0.6703 0.4736 0.4944
Rb7 0.8297 0.9736 0.9944
Rb8 0.8309 0.9634 0.5000
Eu1 0.0009 0.4426 0.7476
Eu2 0.4991 0.9426 0.2476
Eu3 0.5009 0.0574 0.7476
Eu4 0.9991 0.5574 0.2476
F1 0.0116 0.8874 0.2435
F2 0.0740 0.6427 0.5264
F3 0.0745 0.6435 0.9629
F4 0.1594 0.3791 0.2336
F5 0.1856 0.3393 0.7446
F6 0.3144 0.8393 0.2446
F7 0.3406 0.8791 0.7336
F8 0.4260 0.1427 0.0264
F9 0.4255 0.1435 0.4629
F10 0.4884 0.3874 0.7435
F11 0.5116 0.6126 0.2435
F12 0.5740 0.8573 0.5264
F13 0.5745 0.8565 0.9629
F14 0.6594 0.1209 0.2336
F15 0.6856 0.1607 0.7446
F16 0.8144 0.6607 0.2446
F17 0.8406 0.6209 0.7336
F18 0.9260 0.3573 0.0264
F19 0.9255 0.3565 0.4629
F20 0.9884 0.1126 0.7435



(15)
# GGA-PBE Tm2Ga9Ru3, optimized geometry
# Magnetization, μB/f.u.: 0.00
# Energy, eV per atom: -5.095
data_Tm2Ga9Ru3
_chemical_formula_sum 'Tm4 Ga18 Ru6'
_symmetry_space_group_name_H-M 'P 1'
_symmetry_Int_Tables_number 1
_cell_length_a 7.4815
_cell_length_b 7.4815
_cell_length_c 9.7025
_cell_angle_alpha 90.00
_cell_angle_beta 90.00
_cell_angle_gamma 60.42
loop_
_symmetry_equiv_pos_as_xyz
'x,y,z'
loop_
_atom_site_label
_atom_site_fract_x
_atom_site_fract_y
_atom_site_fract_z
Tm1 0.0031 0.6693 0.7500
Tm2 0.3307 0.9969 0.7500
Tm3 0.6693 0.0031 0.2500
Tm4 0.9969 0.3307 0.2500
Ga1 0.0046 0.6650 0.0769
Ga2 0.0046 0.6650 0.4231
Ga3 0.1250 0.8750 0.2500
Ga4 0.3350 0.9954 0.0769
Ga5 0.3350 0.9954 0.4231
Ga6 0.3369 0.4517 0.2500
Ga7 0.3365 0.6635 0.5611
Ga8 0.3365 0.6635 0.9389
Ga9 0.4517 0.3369 0.7500
Ga10 0.5483 0.6631 0.2500
Ga11 0.6635 0.3365 0.0611
Ga12 0.6635 0.3365 0.4389
Ga13 0.6631 0.5483 0.7500
Ga14 0.6650 0.0046 0.5769
Ga15 0.6650 0.0046 0.9231
Ga16 0.8750 0.1250 0.7500
Ga17 0.9954 0.3350 0.5769
Ga18 0.9954 0.3350 0.9231
Ru1 0.0000 0.0000 0.0000
Ru2 0.0000 0.0000 0.5000
Ru3 0.3254 0.3254 0.0000
Ru4 0.3254 0.3254 0.5000
Ru5 0.6746 0.6746 0.0000
Ru6 0.6746 0.6746 0.5000